The following is a DFT calculation (PBE) of a geometry-optimized Th4Ru structure.

Output
- SG = Fd-3m, No. 227
- ΔH_f (0 K) (eV/f.u.) = 1.20
- size of the total moment (μB per atom) = 0.000
- volume (Å³ per cell) = 329.8

Cell lengths 7.7553, 7.7553, 7.7553 Å; angles 60.00, 60.00, 60.00 degrees
With the nearest neighbours (Å) after each atom.
Fractional positions:
Th: 0.2093 0.7636 0.7636  1 Ru 2.63
Th: 0.2364 0.2364 0.2364  1 Ru 2.63
Th: 0.2364 0.2364 0.7907  1 Ru 2.63
Th: 0.2364 0.7907 0.2364  1 Ru 2.63
Th: 0.7636 0.2093 0.7636  1 Ru 2.63
Th: 0.7636 0.7636 0.2093  1 Ru 2.63
Th: 0.7636 0.7636 0.7636  1 Ru 2.63
Th: 0.7907 0.2364 0.2364  1 Ru 2.63
Ru: 0.3750 0.3750 0.3750  4 Th 2.63
Ru: 0.6250 0.6250 0.6250  4 Th 2.63

=====

The following is a DFT calculation (PBE) of a geometry-optimized CrB2Mo structure.

Output
- SG = Amm2, No. 38
- ΔH_f (0 K) (eV/f.u.) = -1.90
- size of the total moment (μB per atom) = 0.000
- volume (Å³ per cell) = 75.9

Cell lengths 3.0100, 3.0615, 8.2321 Å; angles 90.00, 90.00, 90.00 degrees
With the nearest neighbours (Å) after each atom.
Fractional positions:
Cr: 0.0000 0.0000 0.0000  7 B 2.23-2.50
Cr: 0.0000 0.5000 0.5000  7 B 2.23-2.50
B: 0.0000 0.0000 0.3032  2 B 1.81
B: 0.0000 0.5000 0.8032  2 B 1.81
B: 0.5000 0.0000 0.4243  2 B 1.81
B: 0.5000 0.5000 0.9243  2 B 1.81
Mo: 0.5000 0.0000 0.7107  7 B 2.28-2.36
Mo: 0.5000 0.5000 0.2107  7 B 2.28-2.36

=====

Look up the ΔH_f (0 K) of the second one.
-1.90 eV/f.u.

=====

Which of these has the lowest ΔH_f (0 K)?
CrB2Mo